No. 1
## VH10SO10 (GGA+U)

Data for a relaxed VH10SO10 crystal. Values from VASP.

E_form: -1.541 eV/atom
crystal system: orthorhombic
E: -5.54 eV/atom
offset from the most stable computed form: 0.08 eV per formula unit
space group: No. 31

Structure (Quantum ESPRESSO input):
```
&SYSTEM
  ibrav = 0, nat = 44, ntyp = 4
/
ATOMIC_SPECIES
S 32.06 S.upf
H 1.01 H.upf
O 16.00 O.upf
V 50.94 V.upf
CELL_PARAMETERS angstrom
-4.438 1.448 -4.100
4.077 -2.787 -5.397
-3.972 -8.395 1.335
ATOMIC_POSITIONS angstrom
S -1.214 -2.635 -4.515
H 0.424 -4.779 -4.026
O -3.920 -0.343 -4.830
O -2.038 -0.928 -1.060
O -2.420 -3.253 -5.107
H -4.822 -4.751 -3.045
O -2.552 -8.567 -4.508
H -2.044 -1.192 -2.012
V -3.028 -6.683 -3.794
O -6.324 -4.638 -2.382
H -1.642 -8.878 -4.236
O -0.177 -9.448 -3.513
H -1.147 -2.089 -7.082
H -2.271 -6.495 -6.422
O -4.884 -7.233 -4.912
O -4.234 -7.416 -2.281
O -0.246 -2.291 -5.619
O -4.699 -1.775 -2.633
O 1.046 -5.499 -4.353
O -1.609 -1.359 -3.814
H -3.744 0.627 -4.965
O -1.702 -6.557 -2.858
H -3.643 -4.088 -3.999
O -0.546 -3.540 -3.542
O -3.917 -4.873 -3.467
H -4.804 -7.312 -5.894
H -2.198 -4.426 -0.975
O -1.525 -1.980 -8.000
O -3.496 -5.237 0.064
O -2.890 -7.592 0.079
O -2.327 -5.960 -5.572
O -1.441 -3.799 -1.061
H 1.142 -3.370 -6.230
H -3.798 -7.404 -1.382
H -1.102 -3.736 -2.006
V -1.129 -2.380 0.376
S -3.118 -6.371 0.935
H -2.328 -4.988 -5.741
H 0.563 -6.314 -4.631
H -1.158 -1.141 -8.389
H -4.680 -8.298 -2.396
H -3.068 -0.776 -4.539
H -5.694 -6.703 -4.715
H -3.190 -9.317 -4.369
```



No. 2
## Cr4P9O32 (GGA+U)

Data for a relaxed Cr4P9O32 crystal. Values from VASP.

E_form: -2.303 eV/atom
crystal system: tetragonal
E: -7.10 eV/atom
space group: No. 114

Structure (Quantum ESPRESSO input):
```
&SYSTEM
  ibrav = 0, nat = 90, ntyp = 3
/
ATOMIC_SPECIES
O 16.00 O.upf
Cr 52.00 Cr.upf
P 30.97 P.upf
CELL_PARAMETERS angstrom
-11.462 -5.730 -5.497
7.661 -10.516 -5.013
-0.941 -3.221 5.318
ATOMIC_POSITIONS angstrom
O -4.431 -16.200 -4.508
O -8.406 -12.574 -2.246
Cr -1.146 -7.773 -0.288
P -5.867 -8.914 0.015
P -9.301 -11.394 -1.955
P 0.077 -5.280 1.519
P -8.120 -6.622 -2.713
O 5.611 -12.984 -0.474
O 4.378 -10.736 -4.377
O -1.798 -3.556 -1.389
O 2.871 -9.611 1.543
P -4.083 -6.595 -0.153
O 0.250 -13.427 -7.506
O -2.621 -6.671 0.297
O -1.369 -8.882 1.258
Cr 0.584 -10.722 -3.577
O 3.139 -11.540 -0.079
P -2.371 -9.733 -2.596
O -3.523 -2.683 0.206
O -4.665 -6.940 -4.471
Cr 0.037 -3.117 -0.976
O 4.095 -12.360 -2.486
P 1.642 -8.284 -1.854
O -0.369 -1.505 0.063
O 0.070 -6.546 0.679
O -0.460 -12.174 -4.255
O -4.606 -12.247 -7.318
P 0.434 -12.921 -1.297
Cr -9.152 -8.674 -0.340
O 5.609 -8.147 -3.422
O -8.977 -7.589 -1.909
O -2.395 -13.733 -3.940
O -3.694 -4.494 3.542
P -4.055 -11.116 -6.464
O -3.695 -15.642 -9.086
O 2.904 -7.891 -1.127
O 0.723 -9.788 -5.242
O 2.117 -11.892 -4.022
O -4.150 -6.843 -1.679
O -2.757 -11.234 -2.533
O -9.541 -8.549 -6.345
P -5.067 -15.040 -5.301
O -5.042 -13.711 -4.564
Cr -5.096 -7.961 -2.909
Cr 3.699 -13.230 -0.827
O -4.173 -13.323 -1.927
P 0.006 -5.983 -2.637
O -4.197 -3.322 -2.174
O 4.868 -9.726 -0.047
O 1.167 -7.071 -2.812
O -4.466 -14.977 -6.698
O -0.910 -5.318 2.704
O -1.857 -17.744 -4.157
O -5.350 -11.326 -3.568
O 0.477 -8.590 -0.881
O -8.520 -6.679 -4.202
P -0.931 -14.255 -7.951
P 0.000 0.000 0.000
P -6.169 -10.450 -4.547
O -8.547 -10.210 -1.341
O -3.261 -11.600 -5.233
O -4.754 -5.304 0.245
O -4.822 -7.836 0.573
O 0.388 -11.465 -1.807
O -7.270 -8.352 0.179
O -2.276 -13.628 -7.573
O -0.899 -15.689 -7.206
P 3.628 -11.992 -3.887
P -0.873 -13.604 -3.829
O -0.540 -13.756 -2.254
O -0.135 -4.007 0.710
Cr -4.066 -13.913 -8.239
Cr -3.824 -12.477 -3.610
O -9.929 -10.836 -3.336
O -5.288 -10.270 -5.890
O -5.471 -9.170 -1.454
P 3.833 -10.561 0.872
O -0.134 -14.666 -4.607
O -1.002 -9.601 -3.313
O -7.499 -11.073 -4.894
O -3.476 -8.965 -3.365
O -6.305 -9.043 -3.956
O 0.574 -4.790 -1.886
O -1.139 -6.697 -1.889
O -11.030 -8.803 -0.885
O 1.819 -13.545 -1.358
O 1.838 -9.486 -2.784
O -6.628 -6.784 -2.476
O -2.247 -9.133 -1.171
P -3.084 -2.724 -1.349
```



No. 3
## SrVPO6 (GGA+U)

Data for a relaxed SrVPO6 crystal. Values from VASP.

E_form: -2.875 eV/atom
crystal system: monoclinic
E: -7.33 eV/atom
space group: No. 14

Structure (Quantum ESPRESSO input):
```
&SYSTEM
  ibrav = 0, nat = 36, ntyp = 4
/
ATOMIC_SPECIES
O 16.00 O.upf
P 30.97 P.upf
V 50.94 V.upf
Sr 87.62 Sr.upf
CELL_PARAMETERS angstrom
-5.611 6.231 5.239
-4.621 -2.264 -2.257
-0.555 -5.803 6.309
ATOMIC_POSITIONS angstrom
O -5.485 -2.752 6.128
P -8.243 2.407 4.990
O -2.809 -1.831 5.946
V -4.213 -1.646 5.072
O -2.550 -4.691 5.813
O -5.302 0.917 3.162
O -5.786 -1.612 3.621
O -4.009 -0.174 1.228
O -7.978 -0.004 3.344
O -8.024 0.730 8.598
O -1.262 -0.339 1.606
V -2.155 -0.723 0.255
O -9.525 -1.496 7.683
O -9.453 1.538 5.304
P -2.544 -4.243 4.300
O -3.896 -3.509 4.017
O -8.237 2.855 3.477
O -6.778 -1.661 8.062
O -4.117 -6.674 4.958
O -1.334 -3.373 3.986
P -3.882 0.453 2.654
V -6.574 -0.189 4.218
O -7.492 -1.181 5.677
O -3.019 1.707 2.664
O -6.670 4.839 4.332
Sr -6.253 -5.397 5.549
O -5.001 -0.224 5.669
O -7.768 -3.543 6.626
O -3.295 -0.654 3.613
O -2.763 -2.565 0.692
Sr -5.510 1.436 7.547
O -6.892 1.674 5.272
V -8.633 -1.113 9.035
Sr -4.535 3.562 3.741
Sr -5.277 -3.271 1.742
P -6.905 -2.289 6.635
```



No. 4
## Li7Mn5O12 (GGA+U)

Data for a relaxed Li7Mn5O12 crystal. Values from VASP.

E_form: -2.096 eV/atom
crystal system: monoclinic
E: -6.34 eV/atom
offset from the most stable computed form: 1.45 eV per formula unit
space group: No. 12

Structure (Quantum ESPRESSO input):
```
&SYSTEM
  ibrav = 0, nat = 24, ntyp = 3
/
ATOMIC_SPECIES
O 16.00 O.upf
Li 6.94 Li.upf
Mn 54.94 Mn.upf
CELL_PARAMETERS angstrom
-8.681 -11.559 -3.128
-6.258 -12.754 -4.112
0.598 -2.608 4.640
ATOMIC_POSITIONS angstrom
O -9.139 -16.283 -2.717
O -1.392 -5.467 3.215
O -14.189 -24.267 -5.448
Li -3.288 -8.035 1.668
Li -13.339 -24.340 -3.267
O -6.378 -13.553 0.764
O -3.009 -5.285 -0.987
O -0.152 -2.654 2.849
O -7.964 -13.369 -3.363
Mn -9.955 -16.215 -4.809
Li -6.150 -10.847 -1.961
Li -1.002 -2.581 0.668
O -10.173 -18.724 -2.298
Mn -4.386 -10.707 2.209
O -11.332 -21.636 -1.613
O -4.168 -8.198 -0.302
Mn -2.172 -5.340 1.139
Li -11.054 -18.886 -4.268
Li -7.171 -13.461 -1.300
Mn -12.169 -21.581 -3.739
Li -8.192 -16.074 -0.639
O -12.950 -21.454 -5.814
Mn 0.000 0.000 0.000
O -5.203 -10.639 0.117
```